Record 1
Compound: AgAu
Source: the Materials Project database
Functional: r²SCAN
Structure: relaxed

Properties
DFT formation energy, eV per formula unit: -0.094

extended XYZ file:
```
2
Lattice="2.935 0.000 0.000 -1.468 2.542 0.000 0.000 0.000 4.697" Properties=species:S:1:pos:R:3 pbc="T T T"
Ag 0.000 0.000 0.000
Au 1.468 0.847 2.348
```

=====

Record 2
Compound: Ba2FeO4
Source: the Materials Project database
Functional: r²SCAN
Structure: relaxed

Properties
DFT formation energy, eV per formula unit: -16.791

extended XYZ file:
```
28
Lattice="6.136 0.000 0.000 0.000 7.707 0.000 -5.508 0.000 10.094" Properties=species:S:1:pos:R:3 pbc="T T T"
Ba -1.498 0.045 3.091
Ba -4.252 3.809 8.138
Ba -1.206 5.018 5.870
Ba 1.548 6.543 0.823
Ba -0.920 1.165 9.271
Ba 1.834 2.689 4.224
Ba 4.880 3.898 1.956
Ba 2.126 7.663 7.003
Fe -1.123 1.723 5.889
Fe 1.631 2.130 0.842
Fe -1.003 5.577 9.252
Fe 1.751 5.984 4.205
O 0.064 1.450 1.338
O -2.690 2.403 6.385
O -3.654 1.258 9.380
O -0.900 2.595 4.333
O 1.380 3.872 1.052
O -1.373 7.689 6.099
O 0.183 5.691 3.427
O -2.570 5.870 8.474
O 3.198 1.837 1.620
O 0.445 2.016 6.667
O 2.001 0.018 3.995
O -0.752 3.835 9.042
O 1.528 5.112 5.761
O 4.282 6.449 0.714
O 3.318 5.304 3.709
O 0.564 6.257 8.755
```

=====

Record 3
Compound: LiCrP3O9
Source: the Materials Project database
Functional: r²SCAN
Structure: relaxed

Properties
E above lowest polymorph, eV/f.u.: 0.77
DFT formation energy, eV per formula unit: -32.160

extended XYZ file:
```
56
Lattice="5.349 0.000 0.000 0.000 12.662 0.000 0.000 0.000 11.673" Properties=species:S:1:pos:R:3 pbc="T T T"
Li 0.872 1.652 2.918
Li 0.872 4.679 8.754
Li 4.477 7.983 2.918
Li 4.477 11.010 8.754
Cr 0.000 0.000 0.000
Cr 0.000 0.000 5.836
Cr 0.000 6.331 0.000
Cr 0.000 6.331 5.836
P 1.608 3.165 0.000
P 1.608 3.165 5.836
P 2.669 7.245 7.353
P 2.669 7.245 10.156
P 2.669 11.748 1.516
P 2.669 11.748 4.320
P 2.680 0.914 7.353
P 2.680 0.914 10.156
P 2.680 5.417 1.516
P 2.680 5.417 4.320
P 3.741 9.496 0.000
P 3.741 9.496 5.836
O 0.883 2.592 1.157
O 0.883 2.592 4.679
O 0.883 3.739 6.994
O 0.883 3.739 10.515
O 1.354 6.537 7.309
O 1.354 6.537 10.199
O 1.354 12.456 1.473
O 1.354 12.456 4.363
O 1.464 0.072 7.174
O 1.464 0.072 10.335
O 1.464 6.259 1.338
O 1.464 6.259 4.498
O 2.580 1.658 8.754
O 2.580 4.673 2.918
O 2.629 8.444 6.355
O 2.629 8.444 11.154
O 2.629 10.548 0.518
O 2.629 10.548 5.318
O 2.720 2.114 6.355
O 2.720 2.114 11.154
O 2.720 4.217 0.518
O 2.720 4.217 5.318
O 2.769 7.989 8.754
O 2.769 11.004 2.918
O 3.885 6.403 7.174
O 3.885 6.403 10.335
O 3.885 12.590 1.338
O 3.885 12.590 4.498
O 3.995 0.206 7.309
O 3.995 0.206 10.199
O 3.995 6.125 1.473
O 3.995 6.125 4.363
O 4.466 8.923 1.157
O 4.466 8.923 4.679
O 4.466 10.070 6.994
O 4.466 10.070 10.515
```

=====

Record 4
Compound: FeOF
Source: the Materials Project database
Functional: r²SCAN
Structure: relaxed

Properties
DFT formation energy, eV per formula unit: -5.891

extended XYZ file:
```
24
Lattice="9.257 0.000 0.000 0.000 3.040 0.000 -0.032 0.000 9.277" Properties=species:S:1:pos:R:3 pbc="T T T"
Fe 0.000 0.000 0.000
Fe 0.023 0.000 4.410
Fe 2.582 1.520 6.887
Fe 2.761 1.520 2.181
Fe 4.950 0.000 4.297
Fe 5.048 0.000 0.160
Fe 7.221 1.520 2.247
Fe 7.373 1.520 6.828
O 3.456 0.000 1.247
O 3.979 1.520 3.659
O 5.911 1.520 0.896
O 6.392 0.000 3.089
O 8.040 0.000 1.426
O 8.123 0.000 5.942
O 8.571 1.520 3.539
O 8.562 1.520 8.326
F 1.133 1.520 0.899
F 1.215 1.520 5.435
F 1.656 0.000 3.154
F 1.659 0.000 7.873
F 3.554 0.000 5.974
F 4.031 1.520 8.256
F 5.787 1.520 5.495
F 6.221 0.000 7.750
```

=====

Record 5
Compound: TbNi2Ge2
Source: the Materials Project database
Functional: r²SCAN
Structure: relaxed

Properties
DFT formation energy, eV per formula unit: -3.628

extended XYZ file:
```
5
Lattice="-2.023 2.023 4.851 2.023 -2.023 4.851 2.023 2.023 -4.851" Properties=species:S:1:pos:R:3 pbc="T T T"
Tb 0.000 0.000 0.000
Ni 2.023 0.000 2.425
Ni 0.000 2.023 2.425
Ge 0.000 0.000 3.593
Ge 0.000 0.000 6.109
```

=====

Record 6
Compound: Ho5Mo2O12
Source: the Materials Project database
Functional: r²SCAN
Structure: relaxed

Properties
DFT formation energy, eV per formula unit: -64.735

extended XYZ file:
```
19
Lattice="6.084 -2.844 0.000 6.084 2.844 0.000 -2.316 0.000 7.103" Properties=species:S:1:pos:R:3 pbc="T T T"
Ho 0.000 0.000 0.000
Ho 3.396 0.000 0.987
Ho 2.259 0.000 4.826
Ho 7.593 0.000 2.278
Ho 6.456 0.000 6.116
Mo 4.926 1.609 3.552
Mo 4.926 -1.609 3.552
O -0.665 0.000 2.091
O 3.121 1.387 2.957
O 2.056 1.408 6.572
O 7.797 1.408 0.531
O 6.731 1.387 4.147
O 5.345 0.000 2.247
O 4.507 0.000 4.856
O 3.121 -1.387 2.957
O 2.056 -1.408 6.572
O 7.797 -1.408 0.531
O 6.731 -1.387 4.147
O 10.517 0.000 5.013
```

=====

Record 7
Compound: Li4Ti2Cu3Sb3O16
Source: the Materials Project database
Functional: r²SCAN
Structure: relaxed

Properties
DFT formation energy, eV per formula unit: -53.760

extended XYZ file:
```
28
Lattice="5.353 -2.977 0.000 5.353 2.977 0.000 -0.669 0.000 9.693" Properties=species:S:1:pos:R:3 pbc="T T T"
Li 0.000 0.000 0.000
Li -0.103 0.000 5.116
Li 3.413 0.000 4.213
Li 6.842 0.000 8.969
Ti 3.518 0.000 9.603
Ti 7.246 0.000 5.130
Cu 4.360 1.441 7.078
Cu 4.360 -1.441 7.078
Cu 8.943 0.000 2.302
Sb 1.691 0.000 7.213
Sb 6.298 1.478 2.354
Sb 6.298 -1.478 2.354
O -0.012 0.000 3.297
O -0.150 0.000 7.932
O 2.406 1.283 8.565
O 1.722 0.000 1.299
O 4.746 1.449 1.126
O 3.408 0.000 6.202
O 6.347 1.512 5.988
O 2.406 -1.283 8.565
O 4.923 0.000 8.501
O 7.764 1.374 3.627
O 5.471 0.000 3.469
O 7.183 0.000 1.306
O 4.746 -1.449 1.126
O 8.847 0.000 5.885
O 6.347 -1.512 5.988
O 7.764 -1.374 3.627
```

=====

Record 8
Compound: Nd2BC
Source: the Materials Project database
Functional: r²SCAN
Structure: relaxed

Properties
DFT formation energy, eV per formula unit: -1.644

extended XYZ file:
```
8
Lattice="6.655 -1.840 0.000 6.655 1.840 0.000 -6.322 0.000 7.188" Properties=species:S:1:pos:R:3 pbc="T T T"
Nd -1.491 0.000 2.582
Nd -1.680 0.000 6.334
Nd 8.669 0.000 0.854
Nd 8.480 0.000 4.606
B 3.183 0.000 2.821
B 3.806 0.000 4.367
C 3.715 0.000 1.422
C 3.274 0.000 5.766
```

=====

Record 9
Compound: Sm8Ga21Ru11
Source: the Materials Project database
Functional: r²SCAN
Structure: relaxed

Properties
DFT formation energy, eV per formula unit: -24.642

extended XYZ file:
```
40
Lattice="7.999 -8.029 0.000 7.999 8.029 0.000 0.000 0.000 5.589" Properties=species:S:1:pos:R:3 pbc="T T T"
Sm 6.506 5.279 1.424
Sm 5.265 1.479 1.366
Sm 9.493 5.279 4.166
Sm 5.265 -1.479 4.223
Sm 10.734 1.479 4.223
Sm 6.506 -5.279 4.166
Sm 10.734 -1.479 1.366
Sm 9.493 -5.279 1.424
Ga 4.000 4.014 0.011
Ga 4.000 4.014 2.788
Ga 6.720 6.327 4.205
Ga 2.793 0.000 0.000
Ga 2.828 0.000 2.795
Ga 9.278 6.327 1.384
Ga 6.286 1.327 4.111
Ga 7.999 2.973 0.000
Ga 7.999 2.808 2.795
Ga 6.286 -1.327 1.478
Ga 4.000 -4.014 2.801
Ga 4.000 -4.014 5.579
Ga 7.999 0.000 0.000
Ga 9.713 1.327 1.478
Ga 7.999 -2.808 2.795
Ga 7.999 -2.973 0.000
Ga 9.713 -1.327 4.111
Ga 6.720 -6.327 1.384
Ga 13.171 0.000 2.795
Ga 13.206 0.000 0.000
Ga 9.278 -6.327 4.205
Ru 0.000 0.000 0.000
Ru 0.000 0.000 2.795
Ru 3.816 1.869 4.199
Ru 6.128 3.849 4.206
Ru 3.816 -1.869 1.391
Ru 9.871 3.849 1.384
Ru 7.999 0.000 2.795
Ru 6.128 -3.849 1.384
Ru 12.183 1.869 1.391
Ru 9.871 -3.849 4.206
Ru 12.183 -1.869 4.199
```

=====

Record 10
Compound: Al5HO8
Source: the Materials Project database
Functional: r²SCAN
Structure: relaxed

Properties
DFT formation energy, eV per formula unit: -43.580

extended XYZ file:
```
28
Lattice="5.571 0.000 0.000 -2.785 4.824 0.000 0.000 0.000 8.750" Properties=species:S:1:pos:R:3 pbc="T T T"
Al 0.000 1.599 0.000
Al -1.401 4.025 0.000
Al 1.385 0.799 4.375
Al 0.000 3.216 2.560
Al 0.000 3.216 5.971
Al 2.785 1.608 1.595
Al 2.785 1.608 6.935
Al 1.401 4.025 0.000
Al 4.186 0.799 4.375
Al 2.785 3.226 4.375
H 0.000 0.000 2.024
H 0.000 0.000 6.399
O 0.000 0.000 1.044
O 0.000 0.000 5.419
O -1.272 2.482 1.184
O 0.000 1.601 3.473
O -1.399 4.024 3.473
O 1.387 0.801 7.848
O 0.000 3.216 7.780
O 1.272 2.482 1.184
O 0.000 4.685 1.184
O 2.785 0.139 5.559
O 1.513 2.343 5.559
O 2.785 1.608 3.405
O 1.399 4.024 3.473
O 4.184 0.801 7.848
O 2.785 3.223 7.848
O 4.057 2.343 5.559
```

=====

Record 11
Compound: AlFe2B2
Source: the Materials Project database
Functional: r²SCAN
Structure: relaxed

Properties
DFT formation energy, eV per formula unit: -1.584

extended XYZ file:
```
5
Lattice="1.445 -5.463 0.000 1.445 5.463 0.000 0.000 0.000 2.862" Properties=species:S:1:pos:R:3 pbc="T T T"
Al 0.000 0.000 0.000
Fe 1.445 1.605 1.431
Fe 1.445 -1.605 1.431
B 1.445 3.215 0.000
B 1.445 -3.215 0.000
```

=====

Record 12
Compound: Ce2ZnBi4
Source: the Materials Project database
Functional: r²SCAN
Structure: relaxed

Properties
DFT formation energy, eV per formula unit: -4.706

extended XYZ file:
```
7
Lattice="4.581 0.000 0.000 0.000 4.581 0.000 0.000 0.000 10.041" Properties=species:S:1:pos:R:3 pbc="T T T"
Ce 0.000 2.291 2.426
Ce 2.291 0.000 7.615
Zn 0.000 0.000 0.000
Bi 0.000 0.000 5.020
Bi 0.000 2.291 8.473
Bi 2.291 0.000 1.567
Bi 2.291 2.291 5.020
```